(1)
# Lu4Ge6Os7 r2SCAN relaxed
data_Lu4Ge6Os7
_space_group_name_H-M_alt 'I m -3 m'
_space_group_IT_number 229
_space_group_name_Hall '-I 4 2 3'
_cell_length_a 8.2489
_cell_length_b 8.2489
_cell_length_c 8.2489
_cell_angle_alpha 90.00
_cell_angle_beta 90.00
_cell_angle_gamma 90.00
loop_
_atom_site_label
_atom_site_type_symbol
_atom_site_fract_x
_atom_site_fract_y
_atom_site_fract_z
_atom_site_occupancy
Lu1 Lu 0.2500 0.2500 0.2500 1
Ge1 Ge 0.0000 0.0000 0.3096 1
Os1 Os 0.0000 0.0000 0.0000 1
Os2 Os 0.0000 0.2500 0.5000 1
# Crystal system: cubic
# E_form in kJ/mol of formula units: -860
# Total DFT energy (no corrections) in eV per atom: -36.198

=====

(2)
# RbLiMg14O15 r2SCAN relaxed
data_RbLiMg14O15
_space_group_name_H-M_alt 'P m m 2'
_space_group_IT_number 25
_cell_length_a 4.3011
_cell_length_b 8.7119
_cell_length_c 8.3193
_cell_angle_alpha 90.00
_cell_angle_beta 90.00
_cell_angle_gamma 90.00
loop_
_space_group_symop_operation_xyz
'x,y,z'
'-x,-y,z'
'-x,y,z'
'x,-y,z'
loop_
_atom_site_label
_atom_site_type_symbol
_atom_site_fract_x
_atom_site_fract_y
_atom_site_fract_z
_atom_site_occupancy
Rb1 Rb 0.0000 0.0000 0.0000 1
Li1 Li 0.0000 0.5000 0.4090 1
Mg1 Mg 0.0000 0.0000 0.4258 1
Mg2 Mg 0.0000 0.2491 0.6537 1
Mg3 Mg 0.0000 0.2832 0.1520 1
Mg4 Mg 0.0000 0.5000 0.8906 1
Mg5 Mg 0.5000 0.0000 0.1590 1
Mg6 Mg 0.5000 0.0000 0.6629 1
Mg7 Mg 0.5000 0.2541 0.3998 1
Mg8 Mg 0.5000 0.2545 0.8937 1
Mg9 Mg 0.5000 0.5000 0.1516 1
Mg10 Mg 0.5000 0.5000 0.6400 1
O1 O 0.0000 0.0000 0.6542 1
O2 O 0.0000 0.2270 0.3850 1
O3 O 0.0000 0.2712 0.9031 1
O4 O 0.0000 0.5000 0.1488 1
O5 O 0.0000 0.5000 0.6457 1
O6 O 0.5000 0.0000 0.3930 1
O7 O 0.5000 0.0000 0.8999 1
O8 O 0.5000 0.2373 0.1466 1
O9 O 0.5000 0.2495 0.6464 1
O10 O 0.5000 0.5000 0.3930 1
O11 O 0.5000 0.5000 0.9014 1
# Crystal system: orthorhombic
# E_form in kJ/mol of formula units: -7881
# Total DFT energy (no corrections) in eV per atom: -7.934

=====

(3)
# Ce3Al r2SCAN relaxed
data_Ce3Al
_space_group_name_H-M_alt 'P m -3 m'
_space_group_IT_number 221
_space_group_name_Hall '-P 4 2 3'
_cell_length_a 4.7341
_cell_length_b 4.7341
_cell_length_c 4.7341
_cell_angle_alpha 90.00
_cell_angle_beta 90.00
_cell_angle_gamma 90.00
loop_
_atom_site_label
_atom_site_type_symbol
_atom_site_fract_x
_atom_site_fract_y
_atom_site_fract_z
_atom_site_occupancy
Ce1 Ce 0.0000 0.0000 0.5000 1
Al1 Al 0.5000 0.5000 0.5000 1
# Crystal system: cubic
# Offset from the most stable computed form in eV/atom: 0.0000
# E_form in kJ/mol of formula units: -91
# Total DFT energy (no corrections) in eV per atom: -25.049

=====

no.,total magnetization (μB/atom),volume (Å³ per cell)
1,0.103,561
2,0.000,312
3,0.902,106